# 1
Rb2PrBr5: relaxed, meta-GGA r2SCAN.

a = 8.687 Å, b = 9.382 Å, c = 13.855 Å
α = 90.00°, β = 90.00°, γ = 90.00°
Fractional positions:
Rb (0.946, 0.004, 0.828)
Rb (0.054, 0.996, 0.172)
Rb (0.446, 0.996, 0.672)
Rb (0.054, 0.504, 0.172)
Rb (0.554, 0.004, 0.328)
Rb (0.946, 0.496, 0.828)
Rb (0.554, 0.496, 0.328)
Rb (0.446, 0.504, 0.672)
Pr (0.924, 0.750, 0.505)
Pr (0.076, 0.250, 0.495)
Pr (0.424, 0.250, 0.995)
Pr (0.576, 0.750, 0.005)
Br (0.125, 0.750, 0.677)
Br (0.875, 0.250, 0.323)
Br (0.625, 0.250, 0.823)
Br (0.375, 0.750, 0.177)
Br (0.835, 0.044, 0.575)
Br (0.165, 0.956, 0.425)
Br (0.335, 0.956, 0.925)
Br (0.165, 0.544, 0.425)
Br (0.665, 0.044, 0.075)
Br (0.835, 0.456, 0.575)
Br (0.665, 0.456, 0.075)
Br (0.335, 0.544, 0.925)
Br (0.582, 0.750, 0.510)
Br (0.418, 0.250, 0.490)
Br (0.082, 0.250, 0.990)
Br (0.918, 0.750, 0.010)
Br (0.661, 0.750, 0.798)
Br (0.339, 0.250, 0.202)
Br (0.161, 0.250, 0.702)
Br (0.839, 0.750, 0.298)

Output
Formation energy from the elements: -2.14 eV per atom
VASP energy: -17.589 eV per atom
SG: Pnma (62)


# 2
SmSb: relaxed, meta-GGA r2SCAN.

a = 4.472 Å, b = 4.472 Å, c = 4.472 Å
α = 60.00°, β = 60.00°, γ = 60.00°
Fractional positions:
Sm (0.500, 0.500, 0.500)
Sb (0.000, 0.000, 0.000)

Output
Formation energy from the elements: -1.42 eV per atom
VASP energy: -29.138 eV per atom
SG: Fm-3m (225)


# 3
Dy3Ge13Os4: relaxed, meta-GGA r2SCAN.

a = 9.017 Å, b = 9.017 Å, c = 9.017 Å
α = 90.00°, β = 90.00°, γ = 90.00°
Fractional positions:
Dy (0.000, 0.500, 0.750)
Dy (0.500, 0.250, 0.000)
Dy (0.750, 0.000, 0.500)
Dy (0.000, 0.500, 0.250)
Dy (0.500, 0.750, 0.000)
Dy (0.250, 0.000, 0.500)
Ge (0.500, 0.500, 0.500)
Ge (0.000, 0.000, 0.000)
Ge (0.795, 0.356, 0.500)
Ge (0.644, 0.500, 0.795)
Ge (0.500, 0.205, 0.644)
Ge (0.205, 0.644, 0.500)
Ge (0.356, 0.500, 0.205)
Ge (0.500, 0.795, 0.356)
Ge (0.795, 0.644, 0.500)
Ge (0.644, 0.500, 0.205)
Ge (0.205, 0.356, 0.500)
Ge (0.356, 0.500, 0.795)
Ge (0.500, 0.795, 0.644)
Ge (0.500, 0.205, 0.356)
Ge (0.295, 0.000, 0.856)
Ge (0.144, 0.295, 0.000)
Ge (0.000, 0.144, 0.705)
Ge (0.705, 0.000, 0.144)
Ge (0.856, 0.705, 0.000)
Ge (0.000, 0.856, 0.295)
Ge (0.295, 0.000, 0.144)
Ge (0.144, 0.705, 0.000)
Ge (0.705, 0.000, 0.856)
Ge (0.856, 0.295, 0.000)
Ge (0.000, 0.144, 0.295)
Ge (0.000, 0.856, 0.705)
Os (0.750, 0.250, 0.750)
Os (0.250, 0.750, 0.250)
Os (0.750, 0.750, 0.250)
Os (0.250, 0.250, 0.750)
Os (0.250, 0.750, 0.750)
Os (0.750, 0.250, 0.250)
Os (0.250, 0.250, 0.250)
Os (0.750, 0.750, 0.750)

Output
Formation energy from the elements: -0.35 eV per atom
VASP energy: -24.763 eV per atom
SG: Pm-3n (223)


# 4
CsAcTe2: relaxed, meta-GGA r2SCAN.

a = 5.978 Å, b = 5.978 Å, c = 5.978 Å
α = 60.00°, β = 60.00°, γ = 60.00°
Fractional positions:
Cs (0.000, 0.000, 0.000)
Ac (0.500, 0.500, 0.500)
Te (0.750, 0.750, 0.750)
Te (0.250, 0.250, 0.250)

Output
Formation energy from the elements: -1.47 eV per atom
VASP energy: -37.612 eV per atom
SG: Fm-3m (225)


# 5
SmAsPd: relaxed, meta-GGA r2SCAN.

a = 4.335 Å, b = 4.335 Å, c = 7.696 Å
α = 90.00°, β = 90.00°, γ = 120.00°
Fractional positions:
Sm (0.000, 0.000, 0.499)
Sm (0.000, 0.000, 0.999)
As (0.667, 0.333, 0.264)
As (0.333, 0.667, 0.764)
Pd (0.333, 0.667, 0.236)
Pd (0.667, 0.333, 0.736)

Output
Formation energy from the elements: -1.32 eV per atom
VASP energy: -23.787 eV per atom
SG: P6_3mc (186)


# 6
TiMnSi2: relaxed, meta-GGA r2SCAN.

a = 7.709 Å, b = 8.659 Å, c = 9.473 Å
α = 90.00°, β = 90.00°, γ = 90.00°
Fractional positions:
Ti (0.000, 0.166, 0.822)
Ti (0.239, 0.170, 0.546)
Ti (0.761, 0.330, 0.046)
Ti (0.761, 0.670, 0.954)
Ti (0.761, 0.170, 0.546)
Ti (0.761, 0.830, 0.454)
Ti (0.239, 0.670, 0.954)
Ti (0.239, 0.330, 0.046)
Ti (0.000, 0.334, 0.322)
Ti (0.000, 0.666, 0.678)
Ti (0.000, 0.834, 0.178)
Ti (0.239, 0.830, 0.454)
Mn (0.249, 0.084, 0.252)
Mn (0.249, 0.584, 0.248)
Mn (0.249, 0.416, 0.752)
Mn (0.751, 0.084, 0.252)
Mn (0.751, 0.916, 0.748)
Mn (0.751, 0.416, 0.752)
Mn (0.751, 0.584, 0.248)
Mn (0.249, 0.916, 0.748)
Mn (0.243, 0.000, 0.000)
Mn (0.757, 0.500, 0.500)
Mn (0.757, 0.000, 0.000)
Mn (0.243, 0.500, 0.500)
Si (0.500, 0.038, 0.378)
Si (0.000, 0.461, 0.880)
Si (0.000, 0.539, 0.120)
Si (0.000, 0.961, 0.620)
Si (0.000, 0.039, 0.380)
Si (0.000, 0.368, 0.608)
Si (0.000, 0.632, 0.392)
Si (0.000, 0.868, 0.892)
Si (0.500, 0.375, 0.604)
Si (0.500, 0.625, 0.396)
Si (0.500, 0.875, 0.896)
Si (0.500, 0.125, 0.104)
Si (0.500, 0.462, 0.878)
Si (0.500, 0.538, 0.122)
Si (0.500, 0.962, 0.622)
Si (0.000, 0.132, 0.108)
Si (0.346, 0.332, 0.316)
Si (0.654, 0.832, 0.184)
Si (0.346, 0.832, 0.184)
Si (0.654, 0.168, 0.816)
Si (0.654, 0.668, 0.684)
Si (0.654, 0.332, 0.316)
Si (0.346, 0.168, 0.816)
Si (0.346, 0.668, 0.684)

Output
Formation energy from the elements: -0.60 eV per atom
VASP energy: -11.891 eV per atom
SG: Pbam (55)


# 7
Ta3W: relaxed, meta-GGA r2SCAN.

a = 4.620 Å, b = 4.620 Å, c = 4.620 Å
α = 60.00°, β = 60.00°, γ = 60.00°
Fractional positions:
Ta (0.000, 0.000, 0.000)
Ta (0.500, 0.500, 0.500)
Ta (0.250, 0.250, 0.250)
W (0.750, 0.750, 0.750)

Output
Formation energy from the elements: -0.03 eV per atom
VASP energy: -49.314 eV per atom
SG: Fm-3m (225)


# 8
Nd5Ge4: relaxed, meta-GGA r2SCAN.

a = 7.947 Å, b = 8.031 Å, c = 15.204 Å
α = 90.00°, β = 90.00°, γ = 90.00°
Fractional positions:
Nd (0.392, 0.162, 0.887)
Nd (0.892, 0.338, 0.613)
Nd (0.108, 0.662, 0.113)
Nd (0.608, 0.838, 0.387)
Nd (0.392, 0.162, 0.613)
Nd (0.892, 0.338, 0.887)
Nd (0.108, 0.662, 0.387)
Nd (0.608, 0.838, 0.113)
Nd (0.040, 0.825, 0.605)
Nd (0.540, 0.675, 0.895)
Nd (0.460, 0.325, 0.395)
Nd (0.960, 0.175, 0.105)
Nd (0.960, 0.175, 0.395)
Nd (0.460, 0.325, 0.105)
Nd (0.540, 0.675, 0.605)
Nd (0.040, 0.825, 0.895)
Nd (0.277, 0.999, 0.250)
Nd (0.777, 0.501, 0.250)
Nd (0.223, 0.499, 0.750)
Nd (0.723, 0.001, 0.750)
Ge (0.769, 0.524, 0.453)
Ge (0.269, 0.976, 0.047)
Ge (0.731, 0.024, 0.547)
Ge (0.231, 0.476, 0.953)
Ge (0.231, 0.476, 0.547)
Ge (0.731, 0.024, 0.953)
Ge (0.269, 0.976, 0.453)
Ge (0.769, 0.524, 0.047)
Ge (0.899, 0.889, 0.250)
Ge (0.399, 0.611, 0.250)
Ge (0.601, 0.389, 0.750)
Ge (0.101, 0.111, 0.750)
Ge (0.163, 0.372, 0.250)
Ge (0.663, 0.128, 0.250)
Ge (0.337, 0.872, 0.750)
Ge (0.837, 0.628, 0.750)

Output
Formation energy from the elements: -0.94 eV per atom
VASP energy: -23.449 eV per atom
SG: Pnma (62)


# 9
ErSb: relaxed, meta-GGA r2SCAN.

a = 4.342 Å, b = 4.342 Å, c = 4.342 Å
α = 60.00°, β = 60.00°, γ = 60.00°
Fractional positions:
Er (0.000, 0.000, 0.000)
Sb (0.500, 0.500, 0.500)

Output
Formation energy from the elements: -1.31 eV per atom
VASP energy: -31.127 eV per atom
SG: Fm-3m (225)


# 10
Sr2Mg17: relaxed, meta-GGA r2SCAN.

a = 10.466 Å, b = 10.466 Å, c = 10.271 Å
α = 90.00°, β = 90.00°, γ = 120.00°
Fractional positions:
Sr (0.667, 0.333, 0.250)
Sr (0.333, 0.667, 0.750)
Sr (0.000, 0.000, 0.750)
Sr (0.000, 0.000, 0.250)
Mg (0.166, 0.333, 0.522)
Mg (0.667, 0.834, 0.522)
Mg (0.166, 0.834, 0.522)
Mg (0.834, 0.166, 0.022)
Mg (0.333, 0.667, 0.103)
Mg (0.667, 0.333, 0.603)
Mg (0.667, 0.333, 0.897)
Mg (0.333, 0.667, 0.397)
Mg (0.500, 0.000, 0.000)
Mg (0.500, 0.500, 0.500)
Mg (0.000, 0.500, 0.500)
Mg (0.000, 0.500, 0.000)
Mg (0.500, 0.500, 0.000)
Mg (0.500, 0.000, 0.500)
Mg (0.329, 0.961, 0.250)
Mg (0.368, 0.329, 0.750)
Mg (0.961, 0.632, 0.750)
Mg (0.039, 0.368, 0.250)
Mg (0.632, 0.671, 0.250)
Mg (0.368, 0.039, 0.750)
Mg (0.671, 0.632, 0.750)
Mg (0.671, 0.039, 0.750)
Mg (0.961, 0.329, 0.750)
Mg (0.039, 0.671, 0.250)
Mg (0.632, 0.961, 0.250)
Mg (0.329, 0.368, 0.250)
Mg (0.166, 0.834, 0.978)
Mg (0.333, 0.166, 0.478)
Mg (0.834, 0.667, 0.478)
Mg (0.166, 0.333, 0.978)
Mg (0.667, 0.834, 0.978)
Mg (0.333, 0.166, 0.022)
Mg (0.834, 0.667, 0.022)
Mg (0.834, 0.166, 0.478)

Output
Formation energy from the elements: -0.04 eV per atom
VASP energy: -5.364 eV per atom
SG: P6_3/mmc (194)


# 11
V2GeC: relaxed, meta-GGA r2SCAN.

a = 3.005 Å, b = 3.005 Å, c = 12.024 Å
α = 90.00°, β = 90.00°, γ = 120.00°
Fractional positions:
V (0.667, 0.333, 0.589)
V (0.333, 0.667, 0.411)
V (0.333, 0.667, 0.089)
V (0.667, 0.333, 0.911)
Ge (0.667, 0.333, 0.250)
Ge (0.333, 0.667, 0.750)
C (0.000, 0.000, 0.500)
C (0.000, 0.000, 0.000)

Output
Formation energy from the elements: -0.52 eV per atom
VASP energy: -13.523 eV per atom
SG: P6_3/mmc (194)


# 12
Pr3Al12Ru4: relaxed, meta-GGA r2SCAN.

a = 8.873 Å, b = 8.873 Å, c = 9.671 Å
α = 90.00°, β = 90.00°, γ = 120.00°
Fractional positions:
Pr (0.193, 0.385, 0.250)
Pr (0.807, 0.615, 0.750)
Pr (0.615, 0.807, 0.250)
Pr (0.385, 0.193, 0.750)
Pr (0.193, 0.807, 0.250)
Pr (0.807, 0.193, 0.750)
Al (0.333, 0.667, 0.001)
Al (0.667, 0.333, 0.999)
Al (0.667, 0.333, 0.501)
Al (0.333, 0.667, 0.499)
Al (0.163, 0.325, 0.575)
Al (0.837, 0.675, 0.425)
Al (0.675, 0.837, 0.575)
Al (0.837, 0.675, 0.075)
Al (0.325, 0.163, 0.425)
Al (0.163, 0.325, 0.925)
Al (0.163, 0.837, 0.575)
Al (0.325, 0.163, 0.075)
Al (0.837, 0.163, 0.425)
Al (0.675, 0.837, 0.925)
Al (0.837, 0.163, 0.075)
Al (0.163, 0.837, 0.925)
Al (0.563, 0.126, 0.250)
Al (0.437, 0.874, 0.750)
Al (0.874, 0.437, 0.250)
Al (0.126, 0.563, 0.750)
Al (0.563, 0.437, 0.250)
Al (0.437, 0.563, 0.750)
Al (0.000, 0.000, 0.250)
Al (0.000, 0.000, 0.750)
Ru (0.500, 0.000, 0.000)
Ru (0.000, 0.500, 0.000)
Ru (0.500, 0.000, 0.500)
Ru (0.500, 0.500, 0.000)
Ru (0.000, 0.500, 0.500)
Ru (0.500, 0.500, 0.500)
Ru (0.000, 0.000, 0.000)
Ru (0.000, 0.000, 0.500)

Output
Formation energy from the elements: -0.68 eV per atom
VASP energy: -14.927 eV per atom
SG: P6_3/mmc (194)